A geometry-optimized Ba4In2Te2S5 structure, computed with PBE-GGA.

Theoretical density ... 4.9 g cm⁻³
Energy relative to the elements ... -1663 meV per atom
Space-group type ... No. 127
VASP energy ... -118.5 eV per cell

abc: 8.5103 8.5103 11.1800
angles: 90.00 90.00 90.00
Last column: nearest neighbours and their distance in Å.
Fractional positions:
Ba 0.0000 0.0000 0.2197  5 S 3.13-3.35
Ba 0.0000 0.0000 0.7803  5 S 3.13-3.35
Ba 0.1600 0.3400 0.5000  8 S 3.11-3.47
Ba 0.3400 0.8400 0.5000  8 S 3.11-3.47
Ba 0.5000 0.5000 0.2197  5 S 3.13-3.35
Ba 0.5000 0.5000 0.7803  5 S 3.13-3.35
Ba 0.6600 0.1600 0.5000  8 S 3.11-3.47
Ba 0.8400 0.6600 0.5000  8 S 3.11-3.47
In 0.0000 0.5000 0.1600  2 S 2.47
In 0.0000 0.5000 0.8400  2 S 2.47
In 0.5000 0.0000 0.1600  2 S 2.47
In 0.5000 0.0000 0.8400  2 S 2.47
Te 0.1830 0.3170 0.0000  2 In 2.84
Te 0.3170 0.8170 0.0000  2 In 2.84
Te 0.6830 0.1830 0.0000  2 In 2.84
Te 0.8170 0.6830 0.0000  2 In 2.84
S 0.0000 0.0000 0.5000  6 Ba 3.13-3.20
S 0.1559 0.6559 0.3043  1 In 2.47
S 0.1559 0.6559 0.6957  1 In 2.47
S 0.3441 0.1559 0.3043  1 In 2.47
S 0.3441 0.1559 0.6957  1 In 2.47
S 0.5000 0.5000 0.5000  6 Ba 3.13-3.20
S 0.6559 0.8441 0.3043  1 In 2.47
S 0.6559 0.8441 0.6957  1 In 2.47
S 0.8441 0.3441 0.3043  1 In 2.47
S 0.8441 0.3441 0.6957  1 In 2.47